[1]
! PBE-GGA Ce3Ru, optimized geometry; values from VASP
&SYSTEM
  ibrav = 0, nat = 16, ntyp = 2
/
ATOMIC_SPECIES
Ce 140.12 Ce.upf
Ru 101.07 Ru.upf
ATOMIC_POSITIONS angstrom
Ce 0.2907 2.4403 0.9307
Ce 1.1521 0.5731 4.0019
Ce 1.1521 4.3075 4.0019
Ce 2.3316 5.4537 0.9525
Ce 2.3316 9.1882 0.9525
Ce 3.1931 7.3210 3.9801
Ce 3.7744 2.4403 2.1188
Ce 4.6359 0.5731 5.1464
Ce 4.6359 4.3075 5.1464
Ce 5.8153 5.4537 2.0970
Ce 5.8153 9.1882 2.0970
Ce 6.6768 7.3210 5.1682
Ru 0.9573 7.3210 2.6435
Ru 2.5264 2.4403 5.6929
Ru 4.4410 7.3210 0.4060
Ru 6.0102 2.4403 3.4554
CELL_PARAMETERS angstrom
6.9675 0.0000 0.0000
0.0000 9.7613 0.0000
0.0000 0.0000 6.0989
! Crystal system: orthorhombic

[2]
! PBE-GGA CeSi2Ru2, optimized geometry; values from VASP
&SYSTEM
  ibrav = 0, nat = 5, ntyp = 3
/
ATOMIC_SPECIES
Ce 140.12 Ce.upf
Si 28.09 Si.upf
Ru 101.07 Ru.upf
ATOMIC_POSITIONS angstrom
Ce 0.0000 0.0000 0.0000
Si 0.0000 0.0000 3.5733
Si 0.0000 0.0000 6.1382
Ru 2.1022 0.0000 2.4279
Ru 0.0000 2.1022 2.4279
CELL_PARAMETERS angstrom
-2.1022 2.1022 4.8558
2.1022 -2.1022 4.8558
2.1022 2.1022 -4.8558
! Crystal system: tetragonal

[3]
! PBE-GGA CeSi3Ru, optimized geometry; values from VASP
&SYSTEM
  ibrav = 0, nat = 5, ntyp = 3
/
ATOMIC_SPECIES
Ce 140.12 Ce.upf
Si 28.09 Si.upf
Ru 101.07 Ru.upf
ATOMIC_POSITIONS angstrom
Ce 0.0000 0.0000 0.0000
Si 2.0934 0.0000 2.3044
Si 0.0000 0.0000 5.7391
Si 0.0000 2.0934 2.3044
Ru 0.0000 0.0000 3.3955
CELL_PARAMETERS angstrom
-2.0934 2.0934 4.9978
2.0934 -2.0934 4.9978
2.0934 2.0934 -4.9978
! Crystal system: tetragonal

[4]
! PBE-GGA Ce3Sn13Ru4, optimized geometry; values from VASP
&SYSTEM
  ibrav = 0, nat = 40, ntyp = 3
/
ATOMIC_SPECIES
Ce 140.12 Ce.upf
Sn 118.71 Sn.upf
Ru 101.07 Ru.upf
ATOMIC_POSITIONS angstrom
Ce 0.0000 2.4476 4.8952
Ce 0.0000 7.3428 4.8952
Ce 2.4476 4.8952 0.0000
Ce 4.8952 0.0000 2.4476
Ce 4.8952 0.0000 7.3428
Ce 7.3428 4.8952 0.0000
Sn 0.0000 0.0000 0.0000
Sn 0.0000 2.9662 1.5071
Sn 0.0000 2.9662 8.2833
Sn 0.0000 6.8242 1.5071
Sn 0.0000 6.8242 8.2833
Sn 1.5071 0.0000 2.9662
Sn 1.5071 0.0000 6.8242
Sn 1.9290 4.8952 3.3881
Sn 1.9290 4.8952 6.4023
Sn 2.9662 1.5071 0.0000
Sn 2.9662 8.2833 0.0000
Sn 3.3881 1.9290 4.8952
Sn 3.3881 7.8614 4.8952
Sn 4.8952 3.3881 1.9290
Sn 4.8952 3.3881 7.8614
Sn 4.8952 4.8952 4.8952
Sn 4.8952 6.4023 1.9290
Sn 4.8952 6.4023 7.8614
Sn 6.4023 1.9290 4.8952
Sn 6.4023 7.8614 4.8952
Sn 6.8242 1.5071 0.0000
Sn 6.8242 8.2833 0.0000
Sn 7.8614 4.8952 3.3881
Sn 7.8614 4.8952 6.4023
Sn 8.2833 0.0000 2.9662
Sn 8.2833 0.0000 6.8242
Ru 2.4476 2.4476 2.4476
Ru 2.4476 2.4476 7.3428
Ru 2.4476 7.3428 2.4476
Ru 2.4476 7.3428 7.3428
Ru 7.3428 2.4476 2.4476
Ru 7.3428 2.4476 7.3428
Ru 7.3428 7.3428 2.4476
Ru 7.3428 7.3428 7.3428
CELL_PARAMETERS angstrom
9.7904 0.0000 0.0000
0.0000 9.7904 0.0000
0.0000 0.0000 9.7904
! Crystal system: cubic

[5]
! PBE-GGA CeSn3Ru, optimized geometry; values from VASP
&SYSTEM
  ibrav = 0, nat = 40, ntyp = 3
/
ATOMIC_SPECIES
Ce 140.12 Ce.upf
Sn 118.71 Sn.upf
Ru 101.07 Ru.upf
ATOMIC_POSITIONS angstrom
Ce 0.0000 0.0000 0.0000
Ce 0.0000 2.4578 4.9155
Ce 0.0000 7.3733 4.9155
Ce 2.4578 4.9155 0.0000
Ce 4.9155 0.0000 2.4578
Ce 4.9155 0.0000 7.3733
Ce 4.9155 4.9155 4.9155
Ce 7.3733 4.9155 0.0000
Sn 0.0000 3.1209 1.5313
Sn 0.0000 3.1209 8.2998
Sn 0.0000 6.7102 1.5313
Sn 0.0000 6.7102 8.2998
Sn 1.5313 0.0000 3.1209
Sn 1.5313 0.0000 6.7102
Sn 1.7946 4.9155 3.3843
Sn 1.7946 4.9155 6.4468
Sn 3.1209 1.5313 0.0000
Sn 3.1209 8.2998 0.0000
Sn 3.3843 1.7946 4.9155
Sn 3.3843 8.0365 4.9155
Sn 4.9155 3.3843 1.7946
Sn 4.9155 3.3843 8.0365
Sn 4.9155 6.4468 1.7946
Sn 4.9155 6.4468 8.0365
Sn 6.4468 1.7946 4.9155
Sn 6.4468 8.0365 4.9155
Sn 6.7102 1.5313 0.0000
Sn 6.7102 8.2998 0.0000
Sn 8.0365 4.9155 3.3843
Sn 8.0365 4.9155 6.4468
Sn 8.2998 0.0000 3.1209
Sn 8.2998 0.0000 6.7102
Ru 2.4578 2.4578 2.4578
Ru 2.4578 2.4578 7.3733
Ru 2.4578 7.3733 2.4578
Ru 2.4578 7.3733 7.3733
Ru 7.3733 2.4578 2.4578
Ru 7.3733 2.4578 7.3733
Ru 7.3733 7.3733 2.4578
Ru 7.3733 7.3733 7.3733
CELL_PARAMETERS angstrom
9.8311 0.0000 0.0000
0.0000 9.8311 0.0000
0.0000 0.0000 9.8311
! Crystal system: cubic

[6]
! PBE-GGA Ce3Sn6Ru, optimized geometry; values from VASP
&SYSTEM
  ibrav = 0, nat = 20, ntyp = 3
/
ATOMIC_SPECIES
Ce 140.12 Ce.upf
Sn 118.71 Sn.upf
Ru 101.07 Ru.upf
ATOMIC_POSITIONS angstrom
Ce 2.3783 6.6028 7.9156
Ce 2.3783 6.6028 12.0593
Ce 2.3783 6.5816 3.3291
Ce 2.3783 -6.5816 9.9874
Ce 2.3783 -6.6028 1.2573
Ce 2.3783 -6.6028 5.4010
Sn 2.3783 4.2347 0.8792
Sn 2.3783 4.2347 5.7790
Sn 2.3783 3.8452 9.9874
Sn 2.3783 1.2226 7.6669
Sn 2.3783 1.2226 12.3079
Sn 2.3783 0.6607 3.3291
Sn 2.3783 -0.6607 9.9874
Sn 2.3783 -1.2226 1.0087
Sn 2.3783 -1.2226 5.6496
Sn 2.3783 -3.8452 3.3291
Sn 2.3783 -4.2347 7.5375
Sn 2.3783 -4.2347 12.4373
Ru 2.3783 3.2843 3.3291
Ru 2.3783 -3.2843 9.9874
CELL_PARAMETERS angstrom
2.3783 -8.2743 0.0000
2.3783 8.2743 0.0000
0.0000 0.0000 13.3166
! Crystal system: orthorhombic

[7]
! PBE-GGA Ce2S3, optimized geometry; values from VASP
&SYSTEM
  ibrav = 0, nat = 20, ntyp = 2
/
ATOMIC_SPECIES
Ce 140.12 Ce.upf
S 32.06 S.upf
ATOMIC_POSITIONS angstrom
Ce 1.0230 1.0099 3.1949
Ce 1.7942 3.0296 7.0667
Ce 1.9336 1.0099 14.7951
Ce 2.7047 3.0296 10.9234
Ce 4.7508 1.0099 4.5335
Ce 5.5219 3.0296 0.6618
Ce 5.6613 1.0099 8.3902
Ce 6.4324 3.0296 12.2619
S 0.0828 1.0099 6.0667
S 0.9660 3.0296 1.0583
S 1.0991 1.0099 12.0535
S 2.6286 3.0296 4.3250
S 2.7617 1.0099 8.7867
S 3.6450 3.0296 13.7952
S 3.8105 1.0099 1.6617
S 4.6937 3.0296 6.6702
S 4.8268 1.0099 11.1318
S 6.3564 3.0296 3.4034
S 6.4895 1.0099 14.3986
S 7.3727 3.0296 9.3901
CELL_PARAMETERS angstrom
7.4555 0.0000 0.0000
0.0000 4.0395 0.0000
0.0000 0.0000 15.4569
! Crystal system: orthorhombic

[8]
! PBE-GGA CeS, optimized geometry; values from VASP
&SYSTEM
  ibrav = 0, nat = 2, ntyp = 2
/
ATOMIC_SPECIES
Ce 140.12 Ce.upf
S 32.06 S.upf
ATOMIC_POSITIONS angstrom
Ce 0.0000 0.0000 0.0000
S 2.8413 2.8413 2.8413
CELL_PARAMETERS angstrom
0.0000 2.8413 2.8413
2.8413 0.0000 2.8413
2.8413 2.8413 0.0000
! Crystal system: cubic

[9]
! PBE-GGA CeS, optimized geometry; values from VASP
&SYSTEM
  ibrav = 0, nat = 4, ntyp = 2
/
ATOMIC_SPECIES
Ce 140.12 Ce.upf
S 32.06 S.upf
ATOMIC_POSITIONS angstrom
Ce 0.9915 0.9915 1.2552
Ce 2.9744 2.9744 9.1644
S 0.9915 0.9915 8.8188
S 2.9744 2.9744 1.6008
CELL_PARAMETERS angstrom
3.9659 0.0000 0.0000
0.0000 3.9659 0.0000
0.0000 0.0000 10.4197
! Crystal system: tetragonal

[10]
! PBE-GGA CeS, optimized geometry; values from VASP
&SYSTEM
  ibrav = 0, nat = 2, ntyp = 2
/
ATOMIC_SPECIES
Ce 140.12 Ce.upf
S 32.06 S.upf
ATOMIC_POSITIONS angstrom
Ce 0.0000 0.0000 0.0000
S 1.7563 1.7563 1.7563
CELL_PARAMETERS angstrom
3.5125 0.0000 0.0000
0.0000 3.5125 0.0000
0.0000 0.0000 3.5125
! Crystal system: cubic

[11]
! PBE-GGA Ce2S3, optimized geometry; values from VASP
&SYSTEM
  ibrav = 0, nat = 40, ntyp = 2
/
ATOMIC_SPECIES
Ce 140.12 Ce.upf
S 32.06 S.upf
ATOMIC_POSITIONS angstrom
Ce 5.4357 2.1840 -5.3811
Ce 0.0000 0.0000 4.2267
Ce 2.1840 1.1719 1.0024
Ce 3.0918 -2.0798 11.7647
Ce 2.1319 3.2434 -3.1918
Ce 5.2841 2.1319 3.1918
Ce 2.1319 1.0204 9.5753
Ce -1.1719 2.0798 7.3860
Ce 2.1840 3.0918 5.3811
Ce 0.0000 4.2637 2.1569
Ce 1.1719 6.3435 -1.0024
Ce 0.0000 0.0000 21.3076
Ce 2.0798 1.1719 18.1482
Ce -1.0204 2.1319 15.9589
Ce 2.0798 3.0918 13.7696
Ce 0.0000 4.2637 10.6103
S 1.4896 0.6259 -1.7089
S 5.8050 -0.6324 3.7195
S 3.6314 -1.5413 9.0477
S 4.9387 1.4377 0.4135
S 2.8260 3.5887 -5.9701
S 4.8961 2.7224 -2.6641
S 2.7224 0.6324 3.7195
S 3.6378 -2.7741 14.4760
S 1.4377 0.6750 6.7970
S 1.4377 3.5887 -0.4135
S -0.6259 2.7741 4.6747
S 2.7224 3.6314 2.6641
S 4.8961 1.5413 9.0477
S 2.8260 0.6750 12.3537
S 4.9387 2.8260 5.9701
S -0.6324 1.5413 10.1030
S 1.5413 0.6324 15.4312
S 1.4896 3.6378 8.0924
S -0.6750 2.8260 13.1806
S 0.6259 5.7533 4.6747
S 2.7741 3.6378 11.0583
S -1.4896 4.8896 8.0924
S 0.6259 7.0379 1.7089
S -0.6750 1.4377 18.7372
CELL_PARAMETERS angstrom
-4.2637 4.2637 12.7671
4.2637 -4.2637 12.7671
4.2637 4.2637 -12.7671
! Crystal system: tetragonal

[12]
! PBE-GGA Ce6Si4S17, optimized geometry; values from VASP
&SYSTEM
  ibrav = 0, nat = 54, ntyp = 3
/
ATOMIC_SPECIES
Ce 140.12 Ce.upf
Si 28.09 Si.upf
S 32.06 S.upf
ATOMIC_POSITIONS angstrom
Ce 0.5789 3.5804 6.5038
Ce 0.9477 6.1467 2.3635
Ce 1.7144 10.4721 11.5928
Ce 3.3586 9.8296 4.8510
Ce 3.9367 7.0253 9.5681
Ce 4.0745 2.4043 0.0081
Ce 5.8540 9.5789 14.1775
Ce 5.9918 4.9579 4.6175
Ce 6.5699 2.1536 9.3347
Ce 8.2142 1.5111 2.5929
Ce 8.9808 5.8365 11.8222
Ce 9.3497 8.4028 7.6819
Si 2.2827 9.6297 1.4064
Si 2.7027 1.1306 8.2948
Si 3.0724 7.4008 13.0912
Si 2.8503 6.3772 5.5929
Si 7.0782 5.6060 8.5928
Si 6.8561 4.5824 1.0944
Si 7.2258 10.8525 5.8909
Si 7.6459 2.3535 12.7792
S 0.2864 8.9999 1.6185
S 0.7586 11.2026 8.8391
S 1.2120 8.3387 13.4905
S 1.2940 7.8850 10.2301
S 1.3183 7.7156 4.9124
S 2.1305 5.8676 7.5668
S 2.3675 1.4624 2.3745
S 3.0401 5.5218 12.0571
S 3.1746 9.1782 7.6633
S 2.9681 4.7145 4.3197
S 3.1604 2.2352 6.5704
S 3.7795 11.7121 13.5740
S 3.1668 5.1578 0.8057
S 3.7544 1.6443 10.0340
S 3.5457 8.2051 2.3735
S 4.2127 8.7667 11.8940
S 4.7401 7.3324 5.6334
S 5.1885 4.6508 8.5522
S 5.7158 3.2164 2.2916
S 6.3829 3.7781 11.8121
S 6.1741 10.3389 4.1517
S 6.7617 6.8254 13.3799
S 6.1490 0.2711 0.6116
S 6.7681 9.7480 7.6152
S 6.9604 7.2687 9.8660
S 6.7540 2.8050 6.5223
S 6.8884 6.4614 2.1286
S 7.5610 10.5208 11.8111
S 7.7980 6.1156 6.6189
S 8.6102 4.2676 9.2732
S 8.6345 4.0982 3.9556
S 8.7165 3.6445 0.6952
S 9.1699 0.7806 5.3465
S 9.6421 2.9832 12.5672
CELL_PARAMETERS angstrom
9.0110 0.0000 0.0000
0.1331 10.0648 0.0000
0.7844 1.9184 14.1856
! Crystal system: triclinic

Number 1: ΔE_f -0.200 eV per atom. Number 2: ΔE_f -0.886 eV per atom. Number 3: ΔE_f -0.723 eV per atom. Number 4: ΔE_f -0.416 eV per atom. Number 5: ΔE_f -0.520 eV per atom. Number 6: ΔE_f -0.563 eV per atom. Number 7: ΔE_f -2.328 eV per atom. Number 8: ΔE_f -2.297 eV per atom. Number 9: ΔE_f -1.977 eV per atom. Number 10: ΔE_f -1.925 eV per atom. Number 11: ΔE_f -2.295 eV per atom. Number 12: ΔE_f -1.725 eV per atom.